1.
VASP calculation (GGA-PBE) on K5Tm3I12 after structural relaxation.

Geometry as POSCAR:
```
K5Tm3I12
1.0
14.713 0.000 0.000
-7.357 12.742 0.000
0.000 0.000 4.524
K Tm I
5 3 12
direct
0.000 0.716 0.000
0.284 0.284 0.000
0.333 0.667 0.000
0.667 0.333 0.000
0.716 0.000 0.000
0.000 0.322 0.500
0.322 0.000 0.500
0.678 0.678 0.500
0.000 0.180 0.000
0.000 0.462 0.000
0.180 0.000 0.000
0.204 0.761 0.500
0.239 0.443 0.500
0.443 0.239 0.500
0.462 0.000 0.000
0.538 0.538 0.000
0.557 0.796 0.500
0.761 0.204 0.500
0.796 0.557 0.500
0.820 0.820 0.000
```

Its space group is No. 189. The crystal system is hexagonal. The value obtained for the formation energy is -1.5612 eV per atom.

2.
VASP calculation (GGA-PBE) on Sm2MgSe4 after structural relaxation.

Geometry as POSCAR:
```
Sm2MgSe4
1.0
13.353 0.000 0.000
0.000 4.092 0.000
0.000 0.000 14.510
Sm Mg Se
8 4 16
direct
0.118 0.250 0.074
0.138 0.250 0.704
0.362 0.750 0.204
0.382 0.750 0.574
0.618 0.250 0.426
0.638 0.250 0.796
0.862 0.750 0.296
0.882 0.750 0.926
0.108 0.750 0.460
0.392 0.250 0.960
0.608 0.750 0.040
0.892 0.250 0.540
0.003 0.750 0.616
0.029 0.250 0.883
0.224 0.250 0.246
0.235 0.250 0.514
0.265 0.750 0.014
0.276 0.750 0.746
0.471 0.750 0.383
0.497 0.250 0.116
0.503 0.750 0.884
0.529 0.250 0.617
0.724 0.250 0.254
0.735 0.250 0.986
0.765 0.750 0.486
0.776 0.750 0.754
0.971 0.750 0.117
0.997 0.250 0.384
```

Its space group is No. 62. The calculation puts the energy above the most stable polymorph in this dataset at 45 meV per atom. The crystal system is orthorhombic. The value obtained for the formation energy is -1.8949 eV per atom.

3.
VASP calculation (GGA-PBE) on Cr46B3C9 after structural relaxation.

Geometry as POSCAR:
```
Cr46B3C9
1.0
7.484 0.000 0.000
3.729 6.495 0.000
3.698 2.117 12.229
Cr B C
46 3 9
direct
0.000 0.000 0.000
0.002 0.314 0.002
0.052 0.230 0.809
0.071 0.211 0.310
0.075 0.734 0.310
0.126 0.787 0.626
0.154 0.164 0.503
0.160 0.502 0.500
0.169 0.493 0.169
0.170 0.830 0.830
0.177 0.491 0.828
0.190 0.850 0.430
0.309 0.972 0.071
0.328 0.338 0.328
0.330 0.991 0.670
0.332 0.330 0.669
0.336 0.661 0.000
0.339 0.322 0.000
0.377 0.038 0.874
0.428 0.612 0.191
0.430 0.094 0.190
0.454 0.589 0.691
0.495 0.156 0.495
0.500 0.499 0.501
0.503 0.815 0.503
0.552 0.728 0.312
0.569 0.712 0.809
0.573 0.235 0.809
0.628 0.287 0.125
0.650 0.662 0.000
0.657 0.008 0.998
0.669 0.993 0.669
0.670 0.331 0.330
0.677 0.990 0.328
0.690 0.351 0.929
0.810 0.471 0.573
0.828 0.839 0.827
0.832 0.485 0.172
0.834 0.833 0.171
0.838 0.161 0.500
0.841 0.821 0.500
0.877 0.537 0.376
0.928 0.116 0.690
0.931 0.591 0.689
0.957 0.088 0.191
0.982 0.660 0.000
0.365 0.025 0.365
0.591 0.799 0.137
0.866 0.525 0.863
0.085 0.301 0.640
0.141 0.800 0.138
0.142 0.245 0.139
0.364 0.578 0.362
0.418 0.523 0.862
0.639 0.300 0.638
0.640 0.746 0.639
0.864 0.079 0.861
0.918 0.023 0.362
```

Its space group is No. 1. The crystal system is triclinic. The value obtained for the formation energy is -0.0891 eV per atom.

4.
VASP calculation (GGA-PBE) on TiS2 after structural relaxation.

Geometry as POSCAR:
```
TiS2
1.0
1.705 0.984 8.611
-1.705 0.984 8.611
0.000 -1.969 8.611
Ti S
1 2
direct
0.000 0.000 0.000
0.389 0.389 0.389
0.611 0.611 0.611
```

Its space group is No. 166. The crystal system is trigonal. The value obtained for the formation energy is -1.6062 eV per atom.

5.
VASP calculation (GGA-PBE) on Y3Si6N11 after structural relaxation.

Geometry as POSCAR:
```
Y3Si6N11
1.0
9.971 0.000 0.000
0.000 9.971 0.000
0.000 0.000 4.891
Y Si N
6 12 22
direct
0.000 0.000 0.000
0.183 0.317 0.011
0.317 0.817 0.011
0.500 0.500 0.000
0.683 0.183 0.011
0.817 0.683 0.011
0.080 0.792 0.558
0.119 0.619 0.071
0.208 0.080 0.558
0.292 0.580 0.558
0.381 0.119 0.071
0.420 0.292 0.558
0.580 0.708 0.558
0.619 0.881 0.071
0.708 0.420 0.558
0.792 0.920 0.558
0.881 0.381 0.071
0.920 0.208 0.558
0.000 0.500 0.100
0.079 0.181 0.681
0.080 0.777 0.204
0.153 0.653 0.724
0.181 0.921 0.681
0.223 0.080 0.204
0.277 0.580 0.204
0.319 0.421 0.681
0.347 0.153 0.724
0.420 0.277 0.204
0.421 0.681 0.681
0.500 0.000 0.100
0.579 0.319 0.681
0.580 0.723 0.204
0.653 0.847 0.724
0.681 0.579 0.681
0.723 0.420 0.204
0.777 0.920 0.204
0.819 0.079 0.681
0.847 0.347 0.724
0.920 0.223 0.204
0.921 0.819 0.681
```

Its space group is No. 100. Its piezoelectric modulus e_max is 1.5 C/m². The crystal system is tetragonal. The value obtained for the formation energy is -1.5101 eV per atom.

6.
VASP calculation (GGA-PBE) on Mg14TiCuO16 after structural relaxation.

Geometry as POSCAR:
```
Mg14TiCuO16
1.0
8.567 0.000 0.000
0.000 8.567 0.000
0.000 0.000 4.238
Mg Ti Cu O
14 1 1 16
direct
0.000 0.246 0.000
0.000 0.500 0.500
0.000 0.754 0.000
0.243 0.243 0.500
0.243 0.757 0.500
0.245 0.500 0.000
0.246 0.000 0.000
0.500 0.000 0.500
0.500 0.245 0.000
0.500 0.755 0.000
0.754 0.000 0.000
0.755 0.500 0.000
0.757 0.243 0.500
0.757 0.757 0.500
0.500 0.500 0.500
0.000 0.000 0.500
0.000 0.000 0.000
0.000 0.266 0.500
0.000 0.500 0.000
0.000 0.734 0.500
0.251 0.251 0.000
0.251 0.749 0.000
0.257 0.500 0.500
0.266 0.000 0.500
0.500 0.000 0.000
0.500 0.257 0.500
0.500 0.500 0.000
0.500 0.743 0.500
0.734 0.000 0.500
0.743 0.500 0.500
0.749 0.251 0.000
0.749 0.749 0.000
```

Its space group is No. 123. The calculation puts the energy above the most stable polymorph in this dataset at 8 meV per atom. The crystal system is tetragonal. The value obtained for the formation energy is -2.8929 eV per atom.

What did the second record say?
VASP calculation (GGA-PBE) on Sm2MgSe4 after structural relaxation.

Geometry as POSCAR:
```
Sm2MgSe4
1.0
13.353 0.000 0.000
0.000 4.092 0.000
0.000 0.000 14.510
Sm Mg Se
8 4 16
direct
0.118 0.250 0.074
0.138 0.250 0.704
0.362 0.750 0.204
0.382 0.750 0.574
0.618 0.250 0.426
0.638 0.250 0.796
0.862 0.750 0.296
0.882 0.750 0.926
0.108 0.750 0.460
0.392 0.250 0.960
0.608 0.750 0.040
0.892 0.250 0.540
0.003 0.750 0.616
0.029 0.250 0.883
0.224 0.250 0.246
0.235 0.250 0.514
0.265 0.750 0.014
0.276 0.750 0.746
0.471 0.750 0.383
0.497 0.250 0.116
0.503 0.750 0.884
0.529 0.250 0.617
0.724 0.250 0.254
0.735 0.250 0.986
0.765 0.750 0.486
0.776 0.750 0.754
0.971 0.750 0.117
0.997 0.250 0.384
```

Its space group is No. 62. The calculation puts the energy above the most stable polymorph in this dataset at 45 meV per atom. The crystal system is orthorhombic. The value obtained for the formation energy is -1.8949 eV per atom.